# 1
Below is Rb2Cr4CuH4O16 after structural relaxation, with properties calculated at the GGA+U level.

a = 7.6052 Å, b = 7.7493 Å, c = 7.7943 Å
α = 92.05°, β = 117.04°, γ = 98.76°
Positions (direct):
1 O 0.3478 0.0031 0.1180
2 O 0.5127 0.2138 0.4793
3 O 0.9158 0.3577 0.7592
4 O 0.8887 0.9335 0.7225
5 O 0.4873 0.7862 0.5207
6 O 0.0842 0.6423 0.2408
7 O 0.2748 0.4825 0.5653
8 O 0.7252 0.5175 0.4347
9 O 0.2043 0.6684 0.9589
10 O 0.1603 0.7859 0.5889
11 O 0.7957 0.3316 0.0411
12 O 0.8397 0.2141 0.4111
13 O 0.6522 0.9969 0.8820
14 O 0.2575 0.3237 0.1281
15 O 0.1113 0.0665 0.2775
16 O 0.7425 0.6763 0.8719
17 H 0.3291 0.6278 0.0372
18 H 0.7698 0.2047 0.9873
19 H 0.6709 0.3722 0.9628
20 H 0.2302 0.7953 0.0127
21 Cr 0.3009 0.1495 0.2442
22 Cr 0.6991 0.8505 0.7558
23 Cr 0.2457 0.6689 0.4780
24 Cr 0.7543 0.3311 0.5220
25 Rb 0.2452 0.1561 0.7321
26 Rb 0.7548 0.8439 0.2679
27 Cu 0.0000 0.5000 0.0000

**Energy relative to the elements**: -1.574 eV per atom

---

# 2
Below is Sr3Fe2Cl2O5 after structural relaxation, with properties calculated at the GGA+U level.

a = 3.9998 Å, b = 3.9998 Å, c = 12.4910 Å
α = 80.79°, β = 80.79°, γ = 90.00°
Positions (direct):
1 O 0.5901 0.0900 0.8199
2 O 0.4099 0.9100 0.1801
3 O 0.0000 0.0000 0.0000
4 O 0.0901 0.5900 0.8199
5 O 0.9099 0.4100 0.1801
6 Sr 0.6553 0.6554 0.6893
7 Sr 0.3447 0.3446 0.3107
8 Sr 0.5000 0.5000 0.0000
9 Fe 0.0790 0.0790 0.8420
10 Fe 0.9210 0.9210 0.1580
11 Cl 0.2028 0.2028 0.5944
12 Cl 0.7972 0.7972 0.4056

**Energy relative to the elements**: -2.411 eV per atom

---

| no. | magnetization (μB/atom) |
| --- | --- |
| 1 | 0.037 |
| 2 | 0.833 |